<a>
First-principles (PBE) data for a relaxed structure of Cu4SnP10, as listed in the Materials Project database.

```
Cu4SnP10
1.0
3.6462 2.1052 5.9590
-3.6462 2.1052 5.9590
0.0000 -4.2103 5.9590
Cu Sn P
4 1 10
Cartesian
0.0000 0.0000 0.0000
0.0000 -2.0653 9.6401
-1.7886 1.0327 9.6401
1.7886 1.0327 9.6401
0.0000 0.0000 7.6289
-1.8026 -1.0408 12.6934
0.0000 -2.0358 11.9047
-1.7631 1.0179 11.9047
-1.7901 -1.0335 14.8854
0.0000 0.0000 15.6087
1.8026 -1.0408 12.6934
0.0000 2.0815 12.6934
1.7631 1.0179 11.9047
1.7901 -1.0335 14.8854
0.0000 2.0670 14.8854
```

The calculation puts the largest piezoelectric modulus at 0.8 C/m2.


<b>
First-principles (PBE) data for a relaxed structure of Cu4SnP10, as listed in the Materials Project database.

```
Cu4SnP10
1.0
5.3742 -4.6488 0.0000
5.3742 4.6488 0.0000
-2.6511 0.0000 5.0242
Cu Sn P
4 1 10
Cartesian
0.0000 0.0000 0.0000
2.0596 2.3209 4.4113
0.4152 0.0000 2.5824
2.0596 -2.3209 4.4113
8.2569 0.0000 0.8459
3.5205 2.5071 2.5484
2.5861 0.0000 0.0832
6.5206 2.7431 0.7587
3.0224 0.0000 2.4187
5.6849 2.2183 2.8537
2.2126 0.0000 4.9951
5.3409 0.0000 2.1981
3.5205 -2.5071 2.5484
5.6849 -2.2183 2.8537
6.5206 -2.7431 0.7587
```


<a> ends up most stable, edging out the next structure by 372 meV/atom.